# 1
The following is a DFT calculation (PBE+U) of a relaxed structure of LiVP2O7.

Computed properties:
**Symmetry**: P2_1/c

```
LiVP2O7
1.0
8.4626 0.0000 0.0000
0.0000 5.0647 0.0000
-6.0064 0.0000 12.0819
Li V P O
4 4 8 28
direct
0.0909 0.2314 0.2026
0.0909 0.2686 0.7026
0.9091 0.7314 0.2974
0.9091 0.7686 0.7974
0.2322 0.2363 0.9692
0.2322 0.2637 0.4692
0.7678 0.7363 0.5308
0.7678 0.7637 0.0308
0.1962 0.7321 0.1164
0.1962 0.7679 0.6164
0.3274 0.7446 0.3542
0.3274 0.7554 0.8542
0.6726 0.2446 0.1458
0.6726 0.2554 0.6458
0.8038 0.2321 0.3836
0.8038 0.2679 0.8836
0.0272 0.6554 0.6180
0.0272 0.8446 0.1180
0.1837 0.0667 0.5943
0.1837 0.4333 0.0943
0.1942 0.5506 0.8583
0.1942 0.9494 0.3583
0.2510 0.0363 0.8411
0.2510 0.4637 0.3411
0.2551 0.6142 0.5430
0.2551 0.8858 0.0430
0.3456 0.7071 0.7408
0.3456 0.7929 0.2408
0.4879 0.2170 0.5558
0.4879 0.2830 0.0558
0.5121 0.7170 0.9442
0.5121 0.7830 0.4442
0.6544 0.2071 0.7592
0.6544 0.2929 0.2592
0.7449 0.1142 0.9570
0.7449 0.3858 0.4570
0.7490 0.5363 0.6589
0.7490 0.9637 0.1589
0.8058 0.0506 0.6417
0.8058 0.4494 0.1417
0.8163 0.5667 0.9057
0.8163 0.9333 0.4057
0.9728 0.1554 0.8820
0.9728 0.3446 0.3820
```

***

# 2
The following is a DFT calculation (PBE+U) of a relaxed structure of Li9V3P8O29.

Computed properties:
**Symmetry**: P1
**ΔE to the lowest computed polymorph**: 0.0171 eV per atom

```
Li9V3P8O29
1.0
9.9148 0.0000 0.0000
-4.9447 8.5955 0.0000
-0.0057 -0.0579 13.7539
Li V P O
18 6 16 58
direct
0.0000 0.0000 0.0000
0.0018 0.4304 0.0574
0.0938 0.7632 0.1931
0.1035 0.3247 0.6873
0.2321 0.3313 0.1848
0.2393 0.9079 0.6827
0.3373 0.6633 0.1269
0.3803 0.6821 0.6177
0.4318 0.9969 0.0574
0.4376 0.4389 0.5529
0.5672 0.5676 0.0595
0.5700 0.9948 0.5526
0.6587 0.3257 0.7450
0.6665 0.8938 0.1859
0.6697 0.7653 0.6817
0.6777 0.3487 0.2404
0.8934 0.6766 0.3535
0.9903 0.9817 0.4963
0.3317 0.2303 0.3680
0.3333 0.1003 0.8704
0.7658 0.6651 0.8712
0.7679 0.0965 0.3658
0.8982 0.2287 0.8699
0.9889 0.5602 0.5502
0.0000 0.9969 0.7425
0.0050 0.0031 0.2418
0.0102 0.5715 0.7758
0.0153 0.4391 0.2722
0.1060 0.3456 0.4594
0.1076 0.7554 0.9633
0.2440 0.3496 0.9639
0.2497 0.8942 0.4657
0.4216 0.9799 0.2746
0.4231 0.4398 0.7743
0.5594 0.9798 0.7754
0.5595 0.5723 0.2746
0.6489 0.8917 0.9651
0.6535 0.7567 0.4642
0.6631 0.3238 0.5004
0.6671 0.3319 0.9955
0.0024 0.9994 0.6329
0.0040 0.0159 0.1321
0.0048 0.5847 0.2728
0.0066 0.4158 0.7720
0.0079 0.1493 0.7826
0.0183 0.8658 0.2778
0.0841 0.3383 0.9631
0.0868 0.6635 0.6804
0.0897 0.7432 0.4691
0.0974 0.4386 0.5505
0.1039 0.4278 0.1847
0.1040 0.6579 0.0489
0.1196 0.4502 0.3689
0.1214 0.6714 0.8630
0.1443 0.9892 0.7821
0.1448 0.1600 0.2840
0.2239 0.1856 0.9526
0.2250 0.0342 0.4554
0.2564 0.3401 0.4676
0.2559 0.9146 0.9642
0.3269 0.8886 0.1862
0.3309 0.4392 0.6850
0.3330 0.4508 0.8687
0.3341 0.8783 0.3704
0.3374 0.4393 0.0526
0.3439 0.8987 0.5550
0.4045 0.4163 0.2776
0.4115 0.9927 0.7750
0.4408 0.1435 0.2864
0.4417 0.2951 0.7833
0.5216 0.3365 0.4642
0.5226 0.1799 0.9553
0.5474 0.8789 0.8696
0.5521 0.6648 0.3701
0.5524 0.6669 0.5527
0.5551 0.6660 0.1869
0.5592 0.8956 0.0535
0.5607 0.8878 0.6863
0.5809 0.9908 0.2728
0.5830 0.5884 0.7742
0.6554 0.1746 0.4592
0.6582 0.4764 0.9573
0.6594 0.7425 0.9653
0.6596 0.9157 0.4610
0.6674 0.3296 0.1049
0.6794 0.3336 0.6106
0.6980 0.5483 0.2800
0.7037 0.1429 0.7846
0.8126 0.0346 0.9537
0.8131 0.7731 0.4628
0.8179 0.4709 0.4627
0.8190 0.3403 0.9548
0.8472 0.5497 0.7873
0.8477 0.8530 0.7810
0.8485 0.9916 0.2813
0.8531 0.2925 0.2869
0.9626 0.1843 0.4549
0.9633 0.7745 0.9527
```

***

# 3
The following is a DFT calculation (PBE+U) of a relaxed structure of LiVP2O7.

```
LiVP2O7
1.0
0.6822 5.7650 -0.3267
-7.5867 3.6209 7.3383
6.1166 -2.4245 5.8383
V O Li P
4 28 4 8
direct
0.7514 0.9504 0.1466
0.2486 0.0496 0.8534
0.7487 0.5497 0.3534
0.2513 0.4503 0.6466
0.7668 0.5708 0.1406
0.2921 0.0994 0.3687
0.0901 0.7962 0.5320
0.3177 0.2728 0.5690
0.2665 0.0707 0.6406
0.6823 0.7272 0.4310
0.5899 0.2959 0.0318
0.8180 0.7729 0.0689
0.8816 0.5200 0.6083
0.2081 0.4006 0.1313
0.9099 0.2038 0.4680
0.7335 0.9293 0.3594
0.7919 0.5994 0.8687
0.1820 0.2271 0.9311
0.8218 0.1105 0.7563
0.7079 0.9006 0.6313
0.4101 0.7041 0.9682
0.5584 0.4210 0.3639
0.1184 0.4800 0.3917
0.9419 0.0790 0.1361
0.6182 0.9801 0.8917
0.0581 0.9210 0.8639
0.2332 0.4292 0.8594
0.6780 0.3895 0.7435
0.1782 0.8895 0.2437
0.4416 0.5790 0.6361
0.3220 0.6105 0.2565
0.3818 0.0199 0.1083
0.3237 0.7655 0.4121
0.6763 0.2345 0.5879
0.8234 0.2654 0.9118
0.1766 0.7346 0.0882
0.1994 0.0187 0.2129
0.6991 0.5187 0.7129
0.3255 0.3337 0.9827
0.8257 0.8338 0.4826
0.6745 0.6663 0.0173
0.8006 0.9813 0.7871
0.3009 0.4813 0.2871
0.1743 0.1662 0.5174
```

***

# 4
The following is a DFT calculation (PBE+U) of a relaxed structure of Li5V4P6O24.

Computed properties:
**Symmetry**: Pc
**ΔE to the lowest computed polymorph**: 0.0034 eV per atom

```
Li5V4P6O24
1.0
8.6928 0.0000 0.0000
0.0000 8.8016 0.0000
-8.6675 0.0000 12.1857
Li V P O
10 8 12 48
direct
0.0000 0.0224 0.0000
0.0000 0.9776 0.5000
0.0604 0.4763 0.6362
0.0604 0.5237 0.1362
0.3699 0.4585 0.5416
0.3699 0.5415 0.0416
0.4127 0.1576 0.1199
0.4127 0.8424 0.6199
0.7147 0.0459 0.0857
0.7147 0.9541 0.5857
0.1706 0.2115 0.2082
0.1706 0.7885 0.7082
0.4034 0.2205 0.9302
0.4034 0.7795 0.4302
0.6666 0.2809 0.7047
0.6666 0.7191 0.2047
0.8993 0.2908 0.4328
0.8993 0.7092 0.9328
0.0731 0.3492 0.9651
0.0731 0.6508 0.4651
0.2889 0.1352 0.4683
0.2889 0.8648 0.9683
0.4950 0.4991 0.3138
0.4950 0.5009 0.8138
0.5807 0.0000 0.3251
0.5807 0.0000 0.8251
0.7858 0.3636 0.1756
0.7858 0.6364 0.6756
0.9947 0.1509 0.6719
0.9947 0.8491 0.1719
0.0583 0.4915 0.5025
0.0583 0.5085 0.0025
0.1123 0.2256 0.0510
0.1123 0.7744 0.5510
0.1269 0.1496 0.4824
0.1269 0.8504 0.9824
0.1684 0.1900 0.7837
0.1684 0.8100 0.2837
0.2230 0.1733 0.3519
0.2230 0.8267 0.8519
0.2531 0.3538 0.9666
0.2531 0.6462 0.4666
0.3015 0.4173 0.2421
0.3015 0.5827 0.7421
0.3687 0.0290 0.0007
0.3687 0.9710 0.5007
0.4132 0.1085 0.2492
0.4132 0.8915 0.7492
0.4455 0.2535 0.5476
0.4455 0.7465 0.0476
0.4936 0.3967 0.8949
0.4936 0.6033 0.3949
0.5111 0.4085 0.7286
0.5111 0.5915 0.2286
0.5667 0.0822 0.9111
0.5667 0.9178 0.4111
0.5823 0.1084 0.7430
0.5823 0.8916 0.2430
0.6235 0.2452 0.1016
0.6235 0.7548 0.6016
0.6575 0.3874 0.3781
0.6575 0.6126 0.8781
0.7045 0.4717 0.6438
0.7045 0.5283 0.1438
0.7702 0.0836 0.3893
0.7702 0.9164 0.8893
0.8107 0.1516 0.6694
0.8107 0.8484 0.1694
0.8701 0.3282 0.2947
0.8701 0.6718 0.7947
0.8957 0.3032 0.8531
0.8957 0.6968 0.3531
0.9395 0.3465 0.1539
0.9395 0.6535 0.6539
0.9705 0.2681 0.5882
0.9705 0.7319 0.0882
0.9989 0.0146 0.1352
0.9989 0.9854 0.6352
```

***

# 5
The following is a DFT calculation (PBE+U) of a relaxed structure of Li8V3P8O29.

Computed properties:
**Symmetry**: C2
**ΔE to the lowest computed polymorph**: 0.0191 eV per atom

```
Li8V3P8O29
1.0
8.5828 -4.9360 0.0000
8.5828 4.9360 0.0000
-0.0468 0.0000 13.8311
Li V P O
16 6 16 58
direct
0.0293 0.3050 0.1834
0.1636 0.1636 0.6873
0.1637 0.7362 0.1851
0.2557 0.4099 0.8683
0.2603 0.4069 0.3677
0.2638 0.8363 0.8149
0.5901 0.7443 0.1317
0.5931 0.7397 0.6323
0.6035 0.1664 0.1841
0.6068 0.2993 0.6884
0.6950 0.9707 0.8166
0.7007 0.3932 0.3116
0.8336 0.3965 0.8159
0.8364 0.8364 0.3127
0.9509 0.0044 0.7458
0.9956 0.0491 0.2542
0.3645 0.6355 0.0000
0.3666 0.0660 0.4949
0.4936 0.0703 0.0011
0.4937 0.5063 0.5000
0.9297 0.5064 0.9989
0.9340 0.6334 0.5051
0.0176 0.7585 0.9070
0.0210 0.2966 0.4065
0.1527 0.7553 0.4063
0.1587 0.1590 0.9037
0.2414 0.9824 0.0930
0.2447 0.8473 0.5937
0.2635 0.4043 0.1264
0.2657 0.3954 0.6237
0.5957 0.7365 0.8736
0.6046 0.7343 0.3763
0.6111 0.2972 0.9057
0.6123 0.1588 0.4062
0.7028 0.3889 0.0943
0.7034 0.9790 0.5935
0.8412 0.3877 0.5938
0.8410 0.8413 0.0963
0.0070 0.7366 0.4125
0.0088 0.3186 0.9050
0.0312 0.4469 0.4173
0.0337 0.5956 0.9125
0.1156 0.5397 0.5772
0.1183 0.3977 0.0864
0.1366 0.0821 0.1742
0.1421 0.8579 0.5000
0.1475 0.8425 0.3166
0.1498 0.0606 0.9928
0.1575 0.8525 0.6834
0.1667 0.0682 0.8125
0.1809 0.7403 0.9042
0.1855 0.1540 0.4093
0.2559 0.3914 0.7311
0.2561 0.5562 0.0887
0.2605 0.4041 0.2363
0.2597 0.8191 0.0958
0.2634 0.9930 0.5875
0.2666 0.2475 0.5794
0.2989 0.5914 0.4175
0.3006 0.1821 0.9164
0.4044 0.9663 0.0875
0.4086 0.7011 0.5825
0.4132 0.3974 0.5884
0.4158 0.2592 0.0886
0.4438 0.7439 0.9113
0.4457 0.4401 0.9164
0.4466 0.1801 0.4206
0.4603 0.8844 0.4228
0.5531 0.9688 0.5827
0.5599 0.5543 0.0836
0.5959 0.7395 0.7637
0.5992 0.3197 0.4064
0.6011 0.1476 0.9056
0.6023 0.8817 0.9136
0.6026 0.5868 0.4116
0.6086 0.7441 0.2689
0.6803 0.4008 0.5936
0.6814 0.9912 0.0950
0.6962 0.0652 0.3181
0.6965 0.3020 0.1834
0.6980 0.3035 0.8166
0.7042 0.0686 0.6817
0.7134 0.2866 0.0000
0.7153 0.0697 0.4998
0.7408 0.5843 0.9114
0.7525 0.7334 0.4206
0.8179 0.6994 0.0836
0.8199 0.5534 0.5794
0.8460 0.8145 0.5907
0.8524 0.3989 0.0944
0.9179 0.8634 0.8258
0.9303 0.2847 0.5002
0.9314 0.2958 0.3183
0.9318 0.8333 0.1875
0.9348 0.3038 0.6819
0.9394 0.8502 0.0072
```

***

no.,formation enthalpy at 0 K (eV per atom),M_tot (μB per formula unit),VASP energy (eV per atom)
1,-2.702,2.0,-7.243
2,-2.713,6.0,-6.921
3,-2.650,0.0,-7.191
4,-2.706,7.0,-7.163
5,-2.708,5.0,-6.964